Material: SmMn3
Method: DFT, PBE
State: relaxed

```
SmMn3
1.0
6.023 0.000 0.000
-3.011 5.216 0.000
0.000 0.000 4.629
Sm Mn
2 6
direct
0.333 0.667 0.250 Sm
0.667 0.333 0.750 Sm
0.147 0.293 0.750 Mn
0.147 0.853 0.750 Mn
0.293 0.147 0.250 Mn
0.707 0.853 0.750 Mn
0.853 0.147 0.250 Mn
0.853 0.707 0.250 Mn
```

Computed properties:
Space group   P6_3/mmc (194)
Total DFT energy (no corrections)   -61.64 eV/cell
Volume   72.7 Å³/f.u.

Material: SmMn6Sn6
Method: DFT, PBE
State: relaxed

```
SmMn6Sn6
1.0
5.471 0.000 0.000
-2.735 4.738 0.000
0.000 0.000 9.049
Sm Mn Sn
1 6 6
direct
0.000 0.000 0.000 Sm
0.000 0.500 0.248 Mn
0.000 0.500 0.752 Mn
0.500 0.000 0.248 Mn
0.500 0.000 0.752 Mn
0.500 0.500 0.248 Mn
0.500 0.500 0.752 Mn
0.000 0.000 0.335 Sn
0.000 0.000 0.665 Sn
0.333 0.667 0.000 Sn
0.333 0.667 0.500 Sn
0.667 0.333 0.000 Sn
0.667 0.333 0.500 Sn
```

Computed properties:
Space group   P6/mmm (191)
Total DFT energy (no corrections)   -85.48 eV/cell
Volume   234.6 Å³/f.u.

Material: Sm3Mn4Sn4
Method: DFT, PBE
State: relaxed

```
Sm3Mn4Sn4
1.0
-2.287 3.691 7.493
2.287 -3.691 7.493
2.287 3.691 -7.493
Sm Mn Sn
3 4 4
direct
0.000 0.000 0.000 Sm
0.373 0.873 0.500 Sm
0.627 0.127 0.500 Sm
0.013 0.326 0.686 Mn
0.360 0.674 0.686 Mn
0.640 0.326 0.314 Mn
0.987 0.674 0.314 Mn
0.216 0.216 0.000 Sn
0.299 0.500 0.799 Sn
0.701 0.500 0.201 Sn
0.784 0.784 0.000 Sn
```

Computed properties:
Space group   Immm (71)
Total DFT energy (no corrections)   -70.04 eV/cell
Volume   253.0 Å³/f.u.

| no. | DFT formation energy (meV per atom) |
| --- | --- |
| 1 | 346 |
| 2 | -133 |
| 3 | -291 |